#A
This record from Materials Project describes crystalline Ti6Sn5 at its relaxed geometry. The functional is r²SCAN.

Calculated values
magnetization	3.16	μB/cell
mass density	6.89	g/cm3

a b c (Å): 9.2805 9.2805 5.6912
angles (deg): 90.00 90.00 120.00
Atoms (fractional coordinates):
Ti 0.0000 0.5000 0.0000
Ti 0.0000 0.5000 0.5000
Ti 0.1562 0.3125 0.2500
Ti 0.1562 0.8438 0.2500
Ti 0.3125 0.1562 0.7500
Ti 0.5000 0.0000 0.0000
Ti 0.5000 0.0000 0.5000
Ti 0.5000 0.5000 0.0000
Ti 0.5000 0.5000 0.5000
Ti 0.6875 0.8438 0.2500
Ti 0.8438 0.1562 0.7500
Ti 0.8438 0.6875 0.7500
Sn 0.0000 0.0000 0.0000
Sn 0.0000 0.0000 0.5000
Sn 0.2046 0.4093 0.7500
Sn 0.2046 0.7954 0.7500
Sn 0.3333 0.6667 0.2500
Sn 0.4093 0.2046 0.2500
Sn 0.5907 0.7954 0.7500
Sn 0.6667 0.3333 0.7500
Sn 0.7954 0.2046 0.2500
Sn 0.7954 0.5907 0.2500

#B
This record from Materials Project describes crystalline Ti6Sn5 at its relaxed geometry. The functional is r²SCAN.

Calculated values
magnetization	3.53	μB/cell
mass density	6.80	g/cm3

a b c (Å): 9.8850 9.8850 9.8850
angles (deg): 146.47 125.26 65.74
Atoms (fractional coordinates):
Ti 0.0000 0.0000 0.5000
Ti 0.0000 0.5000 0.0000
Ti 0.1415 0.4134 0.7281
Ti 0.1572 0.1572 0.0000
Ti 0.3147 0.5866 0.7281
Ti 0.5000 0.0000 0.0000
Ti 0.5000 0.2656 0.7656
Ti 0.5000 0.5000 0.5000
Ti 0.5000 0.7344 0.2344
Ti 0.6853 0.4134 0.2719
Ti 0.8428 0.8428 0.0000
Ti 0.8585 0.5866 0.2719
Sn 0.0000 0.2458 0.2458
Sn 0.0000 0.7542 0.7542
Sn 0.2023 0.8952 0.3071
Sn 0.2074 0.7074 0.5000
Sn 0.3305 0.3305 0.0000
Sn 0.4119 0.1048 0.3071
Sn 0.5881 0.8952 0.6929
Sn 0.6695 0.6695 0.0000
Sn 0.7926 0.2926 0.5000
Sn 0.7977 0.1048 0.6929

Q: Which of them is the most stable? A: #A.

#A
This record from Materials Project describes crystalline Tb at its relaxed geometry. The functional is r²SCAN.

Calculated values
magnetization	0.00	μB/cell
mass density	8.25	g/cm3

a b c (Å): 3.5638 3.5638 3.5638
angles (deg): 60.00 60.00 60.00
Atoms (fractional coordinates):
Tb 0.0000 0.0000 0.0000

#B
This record from Materials Project describes crystalline Tb at its relaxed geometry. The functional is r²SCAN.

Calculated values
magnetization	0.30	μB/cell
mass density	8.18	g/cm3

a b c (Å): 8.8370 8.8370 8.8370
angles (deg): 23.55 23.55 23.55
Atoms (fractional coordinates):
Tb 0.0000 0.0000 0.0000
Tb 0.2218 0.2218 0.2218
Tb 0.7782 0.7782 0.7782

Q: Which of them is the most stable? A: #B.

#A
This record from Materials Project describes crystalline Tb at its relaxed geometry. The functional is r²SCAN.

Calculated values
magnetization	0.00	μB/cell
mass density	8.07	g/cm3

a b c (Å): 3.6725 3.6725 5.6014
angles (deg): 90.00 90.00 120.00
Atoms (fractional coordinates):
Tb 0.3333 0.6667 0.2500
Tb 0.6667 0.3333 0.7500

#B
This record from Materials Project describes crystalline Tb at its relaxed geometry. The functional is r²SCAN.

Calculated values
magnetization	0.10	μB/cell
mass density	8.11	g/cm3

a b c (Å): 3.4830 3.4830 3.4830
angles (deg): 109.47 109.47 109.47
Atoms (fractional coordinates):
Tb 0.0000 0.0000 0.0000

Q: Which of them is the most stable? A: #A.

#A
This record from Materials Project describes crystalline Tb3Y at its relaxed geometry. The functional is r²SCAN.

Calculated values
magnetization	0.00	μB/cell
mass density	7.27	g/cm3

a b c (Å): 6.1902 6.1902 6.1902
angles (deg): 131.76 131.76 70.60
Atoms (fractional coordinates):
Tb 0.0000 0.0000 0.0000
Tb 0.2500 0.7500 0.5000
Tb 0.7500 0.2500 0.5000
Y 0.5000 0.5000 0.0000

#B
This record from Materials Project describes crystalline Tb3Y at its relaxed geometry. The functional is r²SCAN.

Calculated values
magnetization	0.01	μB/cell
mass density	7.25	g/cm3

a b c (Å): 5.0592 5.0592 5.0592
angles (deg): 90.00 90.00 90.00
Atoms (fractional coordinates):
Tb 0.0000 0.0000 0.5000
Tb 0.0000 0.5000 0.0000
Tb 0.5000 0.0000 0.0000
Y 0.5000 0.5000 0.5000

Q: Which of them is the most stable? A: #A.